# 1
# TiZnO2

A relaxed structure of TiZnO2 (PBE, Materials Project).

a = 7.791 Å, b = 7.791 Å, c = 10.859 Å
α = 128.27°, β = 128.27°, γ = 21.40°
Element x y z (fractional)
Ti: 0.000 0.000 0.000
Ti: 0.315 0.315 0.477
Ti: 0.590 0.590 0.312
Ti: 0.722 0.722 0.165
Zn: 0.089 0.089 0.806
Zn: 0.226 0.226 0.670
Zn: 0.533 0.533 0.542
Zn: 0.798 0.798 0.960
O: 0.074 0.074 0.446
O: 0.240 0.240 0.029
O: 0.323 0.323 0.309
O: 0.370 0.370 0.894
O: 0.559 0.559 0.939
O: 0.754 0.754 0.538
O: 0.942 0.942 0.582
O: 0.987 0.987 0.165

## Properties
DFT formation energy = -2.21 eV/atom
V = 46.7 Å³/f.u.
total DFT energy (no corrections) = -6.625 eV/atom


# 2
# LaIn2

A relaxed structure of LaIn2 (PBE, Materials Project).

a = 6.478 Å, b = 6.478 Å, c = 6.478 Å
α = 135.82°, β = 107.37°, γ = 89.10°
Element x y z (fractional)
La: 0.300 0.050 0.250
La: 0.700 0.950 0.750
In: 0.115 0.661 0.454
In: 0.292 0.339 0.954
In: 0.708 0.661 0.046
In: 0.885 0.339 0.546

## Properties
DFT formation energy = -0.50 eV/atom
V = 86.3 Å³/f.u.
total DFT energy (no corrections) = -3.983 eV/atom


# 3
# NaAl3ZnS6O24

A relaxed structure of NaAl3ZnS6O24 (PBE, Materials Project).

a = 8.360 Å, b = 8.360 Å, c = 21.827 Å
α = 90.00°, β = 90.00°, γ = 120.00°
Element x y z (fractional)
Na: 0.000 0.000 0.000
Na: 0.000 0.000 0.498
Na: 0.333 0.667 0.164
Al: 0.000 0.000 0.348
Al: 0.000 0.000 0.647
Al: 0.000 0.000 0.848
Al: 0.333 0.667 0.316
Al: 0.333 0.667 0.811
Al: 0.667 0.333 0.188
Al: 0.667 0.333 0.478
Al: 0.667 0.333 0.687
Al: 0.667 0.333 0.976
Zn: 0.000 0.000 0.147
Zn: 0.333 0.667 0.016
Zn: 0.333 0.667 0.520
S: 0.001 0.290 0.748
S: 0.002 0.704 0.250
S: 0.038 0.370 0.415
S: 0.039 0.668 0.913
S: 0.289 0.999 0.748
S: 0.296 0.297 0.250
S: 0.332 0.371 0.913
S: 0.332 0.962 0.415
S: 0.380 0.327 0.584
S: 0.386 0.053 0.082
S: 0.629 0.961 0.913
S: 0.630 0.668 0.415
S: 0.667 0.614 0.082
S: 0.673 0.053 0.584
S: 0.703 0.998 0.250
S: 0.710 0.711 0.748
S: 0.947 0.333 0.082
S: 0.947 0.620 0.584
O: 0.013 0.183 0.403
O: 0.014 0.831 0.902
O: 0.038 0.207 0.694
O: 0.046 0.817 0.194
O: 0.125 0.491 0.361
O: 0.127 0.635 0.859
O: 0.129 0.640 0.578
O: 0.130 0.502 0.079
O: 0.150 0.713 0.969
O: 0.151 0.439 0.470
O: 0.164 0.680 0.261
O: 0.166 0.472 0.758
O: 0.169 0.184 0.902
O: 0.169 0.962 0.694
O: 0.170 0.987 0.403
O: 0.183 0.230 0.194
O: 0.195 0.156 0.591
O: 0.204 0.039 0.084
O: 0.206 0.036 0.803
O: 0.207 0.176 0.303
O: 0.287 0.437 0.969
O: 0.287 0.849 0.470
O: 0.307 0.834 0.758
O: 0.320 0.484 0.261
O: 0.360 0.489 0.578
O: 0.365 0.492 0.859
O: 0.365 0.875 0.361
O: 0.372 0.870 0.079
O: 0.460 0.293 0.527
O: 0.472 0.163 0.739
O: 0.474 0.160 0.025
O: 0.478 0.314 0.242
O: 0.492 0.351 0.639
O: 0.494 0.141 0.138
O: 0.498 0.354 0.921
O: 0.498 0.628 0.079
O: 0.499 0.145 0.423
O: 0.508 0.873 0.859
O: 0.509 0.635 0.361
O: 0.511 0.871 0.578
O: 0.516 0.836 0.261
O: 0.528 0.693 0.758
O: 0.561 0.713 0.470
O: 0.563 0.850 0.969
O: 0.645 0.501 0.423
O: 0.646 0.144 0.921
O: 0.647 0.506 0.138
O: 0.649 0.141 0.639
O: 0.686 0.165 0.242
O: 0.686 0.526 0.025
O: 0.691 0.528 0.739
O: 0.707 0.167 0.527
O: 0.770 0.954 0.194
O: 0.793 0.831 0.694
O: 0.816 0.986 0.902
O: 0.817 0.830 0.403
O: 0.824 0.032 0.303
O: 0.830 0.794 0.803
O: 0.833 0.540 0.527
O: 0.835 0.522 0.242
O: 0.835 0.796 0.084
O: 0.837 0.309 0.739
O: 0.840 0.314 0.025
O: 0.844 0.039 0.591
O: 0.855 0.355 0.423
O: 0.856 0.502 0.921
O: 0.859 0.353 0.138
O: 0.859 0.508 0.639
O: 0.961 0.165 0.084
O: 0.961 0.805 0.591
O: 0.964 0.170 0.803
O: 0.968 0.793 0.303

## Properties
DFT formation energy = -2.23 eV/atom
V = 440.4 Å³/f.u.
total DFT energy (no corrections) = -6.259 eV/atom